Record 1
# Na3Ta2Si3Ge2P3O24 PBE relaxed
# E, eV per atom: -7.460
# Symmetry: No. 1
data_Na3Ta2Si3Ge2P3O24
_chemical_formula_sum 'Na9 Ta6 Si9 Ge6 P9 O72'
_space_group_name_H-M_alt 'P 1'
_space_group_IT_number 1
_space_group_name_Hall 'P 1'
_cell_length_a 8.682
_cell_length_b 8.692
_cell_length_c 22.282
_cell_angle_alpha 90.42
_cell_angle_beta 89.38
_cell_angle_gamma 120.06
loop_
_atom_site_label
_atom_site_type_symbol
_atom_site_fract_x
_atom_site_fract_y
_atom_site_fract_z
Na1 Na 0.000 0.633 0.251
Na2 Na 0.665 0.967 0.584
Na3 Na 0.667 0.701 0.083
Na4 Na 0.010 0.999 0.502
Na5 Na 0.010 0.010 0.002
Na6 Na 0.671 0.336 0.833
Na7 Na 0.659 0.325 0.331
Na8 Na 0.333 0.667 0.167
Na9 Na 0.324 0.662 0.665
Ta1 Ta 0.996 0.993 0.356
Ta2 Ta 0.990 0.994 0.858
Ta3 Ta 0.667 0.330 0.688
Ta4 Ta 0.671 0.339 0.980
Ta5 Ta 0.663 0.331 0.476
Ta6 Ta 0.332 0.666 0.809
Si1 Si 0.700 0.706 0.247
Si2 Si 0.001 0.717 0.747
Si3 Si 0.720 0.999 0.746
Si4 Si 0.362 0.035 0.583
Si5 Si 0.967 0.629 0.087
Si6 Si 0.608 0.665 0.921
Si7 Si 0.055 0.385 0.919
Si8 Si 0.608 0.941 0.417
Si9 Si 0.060 0.666 0.415
Ge1 Ge 0.006 0.995 0.647
Ge2 Ge 0.998 0.997 0.148
Ge3 Ge 0.669 0.336 0.185
Ge4 Ge 0.325 0.664 0.021
Ge5 Ge 0.331 0.672 0.519
Ge6 Ge 0.341 0.669 0.314
P1 P 0.295 0.005 0.247
P2 P 0.000 0.286 0.248
P3 P 0.279 0.280 0.748
P4 P 0.966 0.338 0.582
P5 P 0.664 0.625 0.583
P6 P 0.667 0.047 0.086
P7 P 0.371 0.328 0.087
P8 P 0.333 0.949 0.919
P9 P 0.332 0.391 0.417
O1 O 0.211 0.038 0.304
O2 O 0.837 0.799 0.305
O3 O 0.972 0.172 0.304
O4 O 0.202 0.171 0.806
O5 O 0.971 0.803 0.809
O6 O 0.838 0.034 0.807
O7 O 0.806 0.971 0.685
O8 O 0.166 0.202 0.692
O9 O 0.040 0.838 0.688
O10 O 0.792 0.831 0.188
O11 O 0.035 0.202 0.191
O12 O 0.168 0.963 0.193
O13 O 0.877 0.369 0.638
O14 O 0.500 0.130 0.640
O15 O 0.639 0.509 0.639
O16 O 0.875 0.502 0.146
O17 O 0.632 0.132 0.142
O18 O 0.499 0.370 0.141
O19 O 0.455 0.295 0.030
O20 O 0.830 0.536 0.030
O21 O 0.695 0.161 0.030
O22 O 0.465 0.164 0.525
O23 O 0.697 0.538 0.527
O24 O 0.841 0.303 0.528
O25 O 0.531 0.703 0.983
O26 O 0.173 0.471 0.978
O27 O 0.299 0.836 0.975
O28 O 0.538 0.830 0.480
O29 O 0.299 0.467 0.475
O30 O 0.174 0.702 0.475
O31 O 0.134 0.628 0.352
O32 O 0.492 0.862 0.357
O33 O 0.369 0.501 0.359
O34 O 0.133 0.502 0.858
O35 O 0.365 0.870 0.861
O36 O 0.498 0.638 0.860
O37 O 0.039 0.844 0.408
O38 O 0.812 0.974 0.409
O39 O 0.169 0.202 0.410
O40 O 0.035 0.190 0.913
O41 O 0.170 0.972 0.912
O42 O 0.810 0.837 0.915
O43 O 0.972 0.164 0.588
O44 O 0.172 0.027 0.589
O45 O 0.830 0.814 0.588
O46 O 0.974 0.822 0.092
O47 O 0.837 0.030 0.091
O48 O 0.186 0.161 0.094
O49 O 0.695 0.174 0.742
O50 O 0.468 0.304 0.741
O51 O 0.822 0.522 0.742
O52 O 0.693 0.512 0.241
O53 O 0.829 0.303 0.243
O54 O 0.480 0.172 0.240
O55 O 0.630 0.488 0.925
O56 O 0.853 0.355 0.925
O57 O 0.500 0.135 0.925
O58 O 0.635 0.142 0.423
O59 O 0.500 0.370 0.424
O60 O 0.858 0.496 0.423
O61 O 0.363 0.502 0.080
O62 O 0.162 0.649 0.077
O63 O 0.504 0.857 0.080
O64 O 0.358 0.844 0.578
O65 O 0.495 0.640 0.578
O66 O 0.150 0.503 0.575
O67 O 0.304 0.832 0.253
O68 O 0.505 0.685 0.257
O69 O 0.163 0.476 0.254
O70 O 0.303 0.468 0.754
O71 O 0.173 0.692 0.754
O72 O 0.524 0.825 0.753

Record 2
# Na2TaSi2GePO12 PBE relaxed
# E, eV per atom: -7.373
data_Na2TaSi2GePO12
_chemical_formula_sum 'Na12 Ta6 Si12 Ge6 P6 O72'
_space_group_name_H-M_alt 'P 1'
_space_group_IT_number 1
_space_group_name_Hall 'P 1'
_cell_length_a 8.786
_cell_length_b 8.786
_cell_length_c 22.107
_cell_angle_alpha 89.26
_cell_angle_beta 90.74
_cell_angle_gamma 120.03
loop_
_atom_site_label
_atom_site_type_symbol
_atom_site_fract_x
_atom_site_fract_y
_atom_site_fract_z
Na1 Na 0.995 0.630 0.250
Na2 Na 0.370 0.005 0.750
Na3 Na 0.662 0.963 0.583
Na4 Na 0.037 0.338 0.083
Na5 Na 0.328 0.296 0.916
Na6 Na 0.704 0.672 0.416
Na7 Na 0.022 0.008 0.496
Na8 Na 0.992 0.978 0.996
Na9 Na 0.688 0.341 0.829
Na10 Na 0.659 0.312 0.329
Na11 Na 0.355 0.674 0.162
Na12 Na 0.326 0.645 0.662
Ta1 Ta 0.000 0.000 0.644
Ta2 Ta 0.000 0.000 0.144
Ta3 Ta 0.667 0.334 0.977
Ta4 Ta 0.666 0.333 0.477
Ta5 Ta 0.334 0.667 0.310
Ta6 Ta 0.333 0.666 0.810
Si1 Si 0.711 0.707 0.251
Si2 Si 0.987 0.277 0.250
Si3 Si 0.293 0.289 0.751
Si4 Si 0.723 0.013 0.750
Si5 Si 0.378 0.040 0.584
Si6 Si 0.654 0.610 0.584
Si7 Si 0.960 0.622 0.084
Si8 Si 0.390 0.346 0.084
Si9 Si 0.045 0.373 0.918
Si10 Si 0.321 0.944 0.917
Si11 Si 0.627 0.955 0.418
Si12 Si 0.056 0.679 0.417
Ge1 Ge 0.994 0.996 0.354
Ge2 Ge 0.004 0.006 0.854
Ge3 Ge 0.660 0.330 0.687
Ge4 Ge 0.670 0.340 0.187
Ge5 Ge 0.327 0.663 0.021
Ge6 Ge 0.337 0.673 0.521
P1 P 0.292 0.014 0.252
P2 P 0.986 0.708 0.752
P3 P 0.959 0.347 0.585
P4 P 0.653 0.041 0.085
P5 P 0.626 0.680 0.919
P6 P 0.320 0.374 0.419
O1 O 0.207 0.037 0.308
O2 O 0.835 0.789 0.312
O3 O 0.965 0.156 0.309
O4 O 0.211 0.165 0.812
O5 O 0.963 0.793 0.808
O6 O 0.844 0.035 0.809
O7 O 0.799 0.974 0.689
O8 O 0.167 0.190 0.693
O9 O 0.023 0.828 0.695
O10 O 0.810 0.833 0.193
O11 O 0.026 0.201 0.189
O12 O 0.172 0.977 0.195
O13 O 0.873 0.370 0.642
O14 O 0.502 0.123 0.645
O15 O 0.632 0.489 0.642
O16 O 0.877 0.498 0.145
O17 O 0.630 0.127 0.142
O18 O 0.511 0.368 0.142
O19 O 0.466 0.308 0.022
O20 O 0.834 0.524 0.026
O21 O 0.690 0.161 0.029
O22 O 0.476 0.166 0.526
O23 O 0.692 0.534 0.522
O24 O 0.839 0.310 0.529
O25 O 0.540 0.703 0.975
O26 O 0.169 0.456 0.978
O27 O 0.299 0.822 0.976
O28 O 0.544 0.831 0.478
O29 O 0.297 0.460 0.475
O30 O 0.178 0.701 0.476
O31 O 0.133 0.641 0.355
O32 O 0.500 0.857 0.360
O33 O 0.357 0.494 0.362
O34 O 0.143 0.500 0.860
O35 O 0.359 0.867 0.855
O36 O 0.506 0.643 0.862
O37 O 0.034 0.853 0.410
O38 O 0.818 0.969 0.410
O39 O 0.162 0.191 0.410
O40 O 0.031 0.182 0.910
O41 O 0.147 0.966 0.910
O42 O 0.809 0.838 0.910
O43 O 0.969 0.173 0.589
O44 O 0.185 0.022 0.588
O45 O 0.825 0.812 0.590
O46 O 0.978 0.815 0.088
O47 O 0.827 0.031 0.089
O48 O 0.188 0.175 0.090
O49 O 0.701 0.187 0.744
O50 O 0.485 0.303 0.744
O51 O 0.828 0.524 0.744
O52 O 0.697 0.515 0.244
O53 O 0.813 0.299 0.244
O54 O 0.476 0.172 0.244
O55 O 0.636 0.507 0.922
O56 O 0.851 0.356 0.922
O57 O 0.492 0.146 0.923
O58 O 0.644 0.149 0.422
O59 O 0.493 0.364 0.422
O60 O 0.854 0.508 0.423
O61 O 0.367 0.520 0.077
O62 O 0.152 0.636 0.077
O63 O 0.495 0.857 0.077
O64 O 0.364 0.848 0.577
O65 O 0.480 0.633 0.577
O66 O 0.143 0.505 0.577
O67 O 0.302 0.840 0.256
O68 O 0.518 0.689 0.255
O69 O 0.158 0.479 0.256
O70 O 0.311 0.482 0.755
O71 O 0.160 0.698 0.756
O72 O 0.521 0.842 0.756

Record 3
# Na3Ti2SiGe2P5O24 PBE relaxed
# E, eV per atom: -7.178
# Symmetry: No. 1
data_Na3Ti2SiGe2P5O24
_chemical_formula_sum 'Na9 Ti6 Si3 Ge6 P15 O72'
_space_group_name_H-M_alt 'P 1'
_space_group_IT_number 1
_space_group_name_Hall 'P 1'
_cell_length_a 8.561
_cell_length_b 8.541
_cell_length_c 22.047
_cell_angle_alpha 90.05
_cell_angle_beta 89.90
_cell_angle_gamma 119.92
loop_
_atom_site_label
_atom_site_type_symbol
_atom_site_fract_x
_atom_site_fract_y
_atom_site_fract_z
Na1 Na 0.367 0.000 0.750
Na2 Na 0.665 0.967 0.584
Na3 Na 0.668 0.700 0.083
Na4 Na 0.007 0.001 0.500
Na5 Na 0.005 0.004 0.999
Na6 Na 0.673 0.338 0.834
Na7 Na 0.667 0.333 0.333
Na8 Na 0.327 0.666 0.168
Na9 Na 0.328 0.657 0.667
Ti1 Ti 0.000 0.001 0.353
Ti2 Ti 0.006 0.001 0.146
Ti3 Ti 0.322 0.665 0.020
Ti4 Ti 0.328 0.667 0.521
Ti5 Ti 0.333 0.665 0.314
Ti6 Ti 0.340 0.666 0.813
Si1 Si 0.722 0.005 0.749
Si2 Si 0.375 0.052 0.584
Si3 Si 0.951 0.613 0.084
Ge1 Ge 0.996 0.000 0.853
Ge2 Ge 0.003 0.999 0.647
Ge3 Ge 0.670 0.332 0.686
Ge4 Ge 0.671 0.334 0.186
Ge5 Ge 0.669 0.336 0.980
Ge6 Ge 0.661 0.331 0.481
P1 P 0.294 0.004 0.249
P2 P 0.710 0.707 0.249
P3 P 0.996 0.289 0.249
P4 P 0.285 0.286 0.749
P5 P 0.993 0.710 0.750
P6 P 0.953 0.335 0.584
P7 P 0.669 0.616 0.584
P8 P 0.666 0.052 0.083
P9 P 0.382 0.330 0.083
P10 P 0.627 0.666 0.918
P11 P 0.040 0.373 0.916
P12 P 0.333 0.962 0.916
P13 P 0.623 0.960 0.417
P14 P 0.337 0.378 0.418
P15 P 0.039 0.662 0.417
O1 O 0.206 0.035 0.306
O2 O 0.830 0.796 0.305
O3 O 0.967 0.171 0.306
O4 O 0.208 0.164 0.806
O5 O 0.963 0.794 0.807
O6 O 0.841 0.040 0.809
O7 O 0.801 0.963 0.687
O8 O 0.168 0.204 0.693
O9 O 0.041 0.834 0.693
O10 O 0.793 0.824 0.192
O11 O 0.030 0.203 0.193
O12 O 0.173 0.970 0.193
O13 O 0.873 0.372 0.641
O14 O 0.504 0.130 0.644
O15 O 0.633 0.500 0.641
O16 O 0.865 0.494 0.144
O17 O 0.627 0.129 0.141
O18 O 0.502 0.372 0.140
O19 O 0.462 0.294 0.025
O20 O 0.823 0.535 0.024
O21 O 0.702 0.167 0.026
O22 O 0.466 0.172 0.524
O23 O 0.707 0.538 0.526
O24 O 0.832 0.293 0.527
O25 O 0.544 0.700 0.974
O26 O 0.160 0.461 0.973
O27 O 0.300 0.840 0.972
O28 O 0.540 0.842 0.475
O29 O 0.303 0.464 0.474
O30 O 0.160 0.697 0.473
O31 O 0.127 0.631 0.361
O32 O 0.504 0.871 0.361
O33 O 0.367 0.496 0.361
O34 O 0.128 0.494 0.860
O35 O 0.366 0.877 0.859
O36 O 0.506 0.635 0.861
O37 O 0.023 0.832 0.410
O38 O 0.810 0.976 0.409
O39 O 0.168 0.191 0.409
O40 O 0.027 0.186 0.910
O41 O 0.161 0.977 0.909
O42 O 0.815 0.837 0.910
O43 O 0.968 0.162 0.590
O44 O 0.174 0.025 0.592
O45 O 0.835 0.810 0.590
O46 O 0.971 0.814 0.091
O47 O 0.833 0.027 0.090
O48 O 0.193 0.166 0.090
O49 O 0.689 0.178 0.743
O50 O 0.475 0.307 0.743
O51 O 0.825 0.522 0.742
O52 O 0.690 0.517 0.243
O53 O 0.825 0.305 0.244
O54 O 0.482 0.175 0.242
O55 O 0.640 0.492 0.923
O56 O 0.852 0.355 0.924
O57 O 0.505 0.149 0.925
O58 O 0.643 0.149 0.424
O59 O 0.509 0.362 0.423
O60 O 0.852 0.492 0.425
O61 O 0.366 0.502 0.076
O62 O 0.152 0.641 0.076
O63 O 0.503 0.859 0.076
O64 O 0.361 0.853 0.576
O65 O 0.503 0.641 0.577
O66 O 0.141 0.499 0.577
O67 O 0.311 0.834 0.257
O68 O 0.524 0.690 0.257
O69 O 0.166 0.476 0.257
O70 O 0.304 0.474 0.757
O71 O 0.164 0.693 0.757
O72 O 0.516 0.830 0.757

- The lowest E belongs to which entry?
  Na3Ta2Si3Ge2P3O24